Record 1
First-principles (PBE-GGA) data for a relaxed SnH24C6N2O2F6 crystal, as listed in Materials Project.

Results
VASP energy, eV per atom: -5.120
Calculated density, g cm⁻³: 1.6
Calculated formation energy, eV/atom: -0.86

CIF file:
```
data_SnH24C6N2O2F6
_chemical_formula_sum 'Sn2 H48 C12 N4 O4 F12'
_space_group_name_H-M_alt 'C 1 2/m 1'
_space_group_IT_number 12
_cell_length_a 14.905
_cell_length_b 7.348
_cell_length_c 8.266
_cell_angle_alpha 90.00
_cell_angle_beta 119.78
_cell_angle_gamma 90.00
loop_
_space_group_symop_operation_xyz
'x,y,z'
'-x,-y,-z'
'-x,y,-z'
'x,-y,z'
'x+1/2,y+1/2,z'
'-x+1/2,-y+1/2,-z'
'-x+1/2,y+1/2,-z'
'x+1/2,-y+1/2,z'
loop_
_atom_site_label
_atom_site_type_symbol
_atom_site_fract_x
_atom_site_fract_y
_atom_site_fract_z
Sn1 Sn 0.000 0.000 0.000
H1 H 0.037 0.393 0.224
H2 H 0.103 0.167 0.645
H3 H 0.150 0.168 0.482
H4 H 0.175 0.378 0.017
H5 H 0.201 0.500 0.299
H6 H 0.213 0.000 0.956
H7 H 0.220 0.287 0.700
C1 C 0.172 0.168 0.630
C2 C 0.224 0.500 0.075
N1 N 0.234 0.000 0.719
O1 O 0.081 0.500 0.284
F1 F 0.030 0.193 0.860
F2 F 0.149 0.000 0.198
```

Record 2
First-principles (PBE-GGA) data for a relaxed Cs2UBr4O2 crystal, as listed in Materials Project.

Results
VASP energy, eV per atom: -5.372
Calculated density, g cm⁻³: 4.3
Calculated formation energy, eV/atom: -2.24

CIF file:
```
data_Cs2UBr4O2
_chemical_formula_sum 'Cs4 U2 Br8 O4'
_space_group_name_H-M_alt 'P 1 21/c 1'
_space_group_IT_number 14
_cell_length_a 6.688
_cell_length_b 10.025
_cell_length_c 10.161
_cell_angle_alpha 90.00
_cell_angle_beta 105.12
_cell_angle_gamma 90.00
loop_
_space_group_symop_operation_xyz
'x,y,z'
'-x,-y,-z'
'-x,y+1/2,-z+1/2'
'x,-y+1/2,z+1/2'
loop_
_atom_site_label
_atom_site_type_symbol
_atom_site_fract_x
_atom_site_fract_y
_atom_site_fract_z
Cs1 Cs 0.180 0.118 0.335
U1 U 0.500 0.000 0.000
Br1 Br 0.246 0.730 0.475
Br2 Br 0.336 0.058 0.719
O1 O 0.299 0.102 0.040
```

Record 3
First-principles (PBE-GGA) data for a relaxed CaLaI5 crystal, as listed in Materials Project.

Results
VASP energy, eV per atom: -3.643
Calculated density, g cm⁻³: 4.4
ΔE to the lowest computed polymorph, meV/atom: 0.6
Calculated formation energy, eV/atom: -1.83

CIF file:
```
data_CaLaI5
_chemical_formula_sum 'Ca4 La4 I20'
_space_group_name_H-M_alt 'C m c m'
_space_group_IT_number 63
_space_group_name_Hall '-C 2c 2'
_cell_length_a 4.475
_cell_length_b 14.910
_cell_length_c 18.310
_cell_angle_alpha 90.00
_cell_angle_beta 90.00
_cell_angle_gamma 90.00
loop_
_atom_site_label
_atom_site_type_symbol
_atom_site_fract_x
_atom_site_fract_y
_atom_site_fract_z
Ca1 Ca 0.000 0.000 0.000
La1 La 0.000 0.485 0.250
I1 I 0.000 0.101 0.150
I2 I 0.000 0.164 0.750
I3 I 0.000 0.386 0.075
```